This record from Materials Project describes crystalline Ho5Ge10Rh4 at its relaxed geometry. The functional is PBE-GGA.

CIF file:
```
data_Ho5Ge10Rh4
_chemical_formula_sum 'Ho10 Ge20 Rh8'
_cell_length_a 13.0541
_cell_length_b 13.0541
_cell_length_c 4.3008
_cell_angle_alpha 90.00
_cell_angle_beta 90.00
_cell_angle_gamma 90.00
_space_group_name_H-M_alt 'P 4/m b m'
_space_group_IT_number 127
_space_group_name_Hall '-P 4 2ab'
loop_
_atom_site_label
_atom_site_type_symbol
_atom_site_fract_x
_atom_site_fract_y
_atom_site_fract_z
Ho1 Ho 0.0000 0.0000 0.0000
Ho2 Ho 0.1129 0.3871 0.5000
Ho3 Ho 0.1745 0.6745 0.5000
Ge1 Ge 0.0026 0.8423 0.5000
Ge2 Ge 0.0670 0.5670 0.0000
Ge3 Ge 0.1620 0.2002 0.0000
Rh1 Rh 0.0211 0.7542 0.0000
```

This record from Materials Project describes crystalline Ba4SrSn5O15 at its relaxed geometry. The functional is PBE-GGA.

CIF file:
```
data_Ba4SrSn5O15
_chemical_formula_sum 'Ba4 Sr1 Sn5 O15'
_cell_length_a 4.1771
_cell_length_b 4.1771
_cell_length_c 20.8840
_cell_angle_alpha 90.00
_cell_angle_beta 90.00
_cell_angle_gamma 90.00
_space_group_name_H-M_alt 'P 4/m m m'
_space_group_IT_number 123
_space_group_name_Hall '-P 4 2'
loop_
_atom_site_label
_atom_site_type_symbol
_atom_site_fract_x
_atom_site_fract_y
_atom_site_fract_z
Ba1 Ba 0.0000 0.0000 0.1000
Ba2 Ba 0.0000 0.0000 0.3003
Sr1 Sr 0.0000 0.0000 0.5000
Sn1 Sn 0.5000 0.5000 0.0000
Sn2 Sn 0.5000 0.5000 0.2001
Sn3 Sn 0.5000 0.5000 0.4007
O1 O 0.0000 0.5000 0.0000
O2 O 0.0000 0.5000 0.2000
O3 O 0.0000 0.5000 0.4017
O4 O 0.5000 0.5000 0.1000
O5 O 0.5000 0.5000 0.3003
O6 O 0.5000 0.5000 0.5000
```

This record from Materials Project describes crystalline Ce14Gd18O55 at its relaxed geometry. The functional is PBE-GGA.

CIF file:
```
data_Ce14Gd18O55
_chemical_formula_sum 'Ce14 Gd18 O55'
_cell_length_a 9.4440
_cell_length_b 9.5240
_cell_length_c 15.5554
_cell_angle_alpha 89.94
_cell_angle_beta 89.81
_cell_angle_gamma 70.31
_space_group_name_H-M_alt 'P 1'
_space_group_IT_number 1
loop_
_space_group_symop_operation_xyz
'x,y,z'
loop_
_atom_site_label
_atom_site_type_symbol
_atom_site_fract_x
_atom_site_fract_y
_atom_site_fract_z
Ce1 Ce 0.0000 0.0000 0.0000
Ce2 Ce 0.0025 0.0200 0.2434
Ce3 Ce 0.1180 0.6284 0.6282
Ce4 Ce 0.2402 0.2618 0.9991
Ce5 Ce 0.3588 0.9226 0.8657
Ce6 Ce 0.3661 0.8954 0.6217
Ce7 Ce 0.4997 0.5022 0.5014
Ce8 Ce 0.5008 0.5217 0.7412
Ce9 Ce 0.6170 0.1351 0.1311
Ce10 Ce 0.7318 0.7766 0.7419
Ce11 Ce 0.7429 0.7608 0.4971
Ce12 Ce 0.8590 0.3955 0.1268
Ce13 Ce 0.8633 0.4196 0.3675
Ce14 Ce 0.9831 0.0157 0.7464
Gd1 Gd 0.0085 0.9740 0.5088
Gd2 Gd 0.1101 0.6279 0.1147
Gd3 Gd 0.1230 0.6318 0.8764
Gd4 Gd 0.1310 0.6168 0.3859
Gd5 Gd 0.2144 0.2699 0.7510
Gd6 Gd 0.2272 0.2865 0.2427
Gd7 Gd 0.2535 0.2649 0.5159
Gd8 Gd 0.3526 0.9240 0.1405
Gd9 Gd 0.3572 0.8625 0.3736
Gd10 Gd 0.4954 0.4925 0.2627
Gd11 Gd 0.5183 0.4619 0.9969
Gd12 Gd 0.6209 0.1236 0.3727
Gd13 Gd 0.6313 0.1244 0.6083
Gd14 Gd 0.6327 0.1118 0.8860
Gd15 Gd 0.7032 0.7672 0.2504
Gd16 Gd 0.7482 0.7688 0.0161
Gd17 Gd 0.8580 0.3961 0.6382
Gd18 Gd 0.8651 0.3626 0.8787
O1 O 0.0032 0.2391 0.9971
O2 O 0.0034 0.7411 0.5066
O3 O 0.0874 0.8863 0.3630
O4 O 0.0904 0.4085 0.8811
O5 O 0.1023 0.3890 0.6251
O6 O 0.1028 0.3888 0.1155
O7 O 0.1199 0.3688 0.3872
O8 O 0.1199 0.8705 0.6318
O9 O 0.1210 0.8725 0.1309
O10 O 0.1556 0.8623 0.8784
O11 O 0.2258 0.5364 0.2429
O12 O 0.2278 0.0189 0.7480
O13 O 0.2379 0.0223 0.4991
O14 O 0.2418 0.0350 0.2614
O15 O 0.2565 0.5061 0.5134
O16 O 0.2703 0.5048 0.7556
O17 O 0.2712 0.5310 0.9990
O18 O 0.2711 0.9987 0.9990
O19 O 0.3558 0.1589 0.1237
O20 O 0.3681 0.1509 0.8663
O21 O 0.3765 0.6156 0.3848
O22 O 0.3782 0.1431 0.6385
O23 O 0.3803 0.6399 0.6252
O24 O 0.4649 0.7456 0.2401
O25 O 0.4782 0.7696 0.7534
O26 O 0.4810 0.2466 0.2602
O27 O 0.4897 0.2467 0.4892
O28 O 0.5022 0.2417 0.0034
O29 O 0.5028 0.7481 0.4999
O30 O 0.5789 0.9050 0.3698
O31 O 0.5948 0.3786 0.8622
O32 O 0.6000 0.8972 0.1253
O33 O 0.6069 0.3876 0.1282
O34 O 0.6087 0.3770 0.6340
O35 O 0.6132 0.8846 0.6180
O36 O 0.6185 0.8641 0.8870
O37 O 0.6535 0.3611 0.3776
O38 O 0.7228 0.0245 0.7458
O39 O 0.7359 0.5157 0.2503
O40 O 0.7378 0.5248 0.9976
O41 O 0.7425 0.5330 0.7598
O42 O 0.7571 0.0087 0.0112
O43 O 0.7616 0.9988 0.4884
O44 O 0.7708 0.4959 0.5001
O45 O 0.7731 0.0027 0.2542
O46 O 0.8593 0.6508 0.6276
O47 O 0.8668 0.6527 0.3668
O48 O 0.8701 0.6477 0.1385
O49 O 0.8744 0.1428 0.1256
O50 O 0.8775 0.1117 0.8772
O51 O 0.8859 0.1382 0.6145
O52 O 0.9724 0.7573 0.7637
O53 O 0.9735 0.2664 0.2555
O54 O 0.9772 0.2569 0.7550
O55 O 0.9831 0.7494 0.9886
```

This record from Materials Project describes crystalline Ba3Y at its relaxed geometry. The functional is PBE-GGA.

CIF file:
```
data_Ba3Y
_chemical_formula_sum 'Ba6 Y2'
_cell_length_a 8.4442
_cell_length_b 8.4442
_cell_length_c 6.7362
_cell_angle_alpha 90.00
_cell_angle_beta 90.00
_cell_angle_gamma 120.00
_space_group_name_H-M_alt 'P 63/m m c'
_space_group_IT_number 194
_space_group_name_Hall '-P 6c 2c'
loop_
_atom_site_label
_atom_site_type_symbol
_atom_site_fract_x
_atom_site_fract_y
_atom_site_fract_z
Ba1 Ba 0.1721 0.3442 0.2500
Y1 Y 0.3333 0.6667 0.7500
```

Results
As for the energy relative to the lowest polymorph listed for this composition: 0.0 meV per atom.

This record from Materials Project describes crystalline Ag3PS4 at its relaxed geometry. The functional is PBE-GGA.

CIF file:
```
data_Ag3PS4
_chemical_formula_sum 'Ag6 P2 S8'
_cell_length_a 7.7580
_cell_length_b 6.9192
_cell_length_c 6.6161
_cell_angle_alpha 90.00
_cell_angle_beta 90.00
_cell_angle_gamma 90.00
_space_group_name_H-M_alt 'P m n 21'
_space_group_IT_number 31
loop_
_space_group_symop_operation_xyz
'x,y,z'
'-x+1/2,-y,z+1/2'
'-x,y,z'
'x+1/2,-y,z+1/2'
loop_
_atom_site_label
_atom_site_type_symbol
_atom_site_fract_x
_atom_site_fract_y
_atom_site_fract_z
Ag1 Ag 0.0000 0.1406 0.0000
Ag2 Ag 0.2348 0.3099 0.5320
P1 P 0.0000 0.8123 0.5117
S1 S 0.0000 0.0893 0.3912
S2 S 0.0000 0.8093 0.8236
S3 S 0.2199 0.6671 0.4113
```

Results
Its maximum piezoelectric response is 0.624 C/m².

Number 1: mass density 8.9 g cm⁻³, energy of formation -0.80 eV/atom. Number 2: mass density 6.7 g cm⁻³, energy of formation -2.59 eV/atom. Number 3: mass density 7.1 g cm⁻³, energy of formation -3.86 eV/atom. Number 4: mass density 4.0 g cm⁻³, energy of formation 0.21 eV/atom. Number 5: mass density 4.5 g cm⁻³, energy of formation -0.43 eV/atom.